1.
Entry from the Materials Project database: an optimized crystal structure of PtAu (PBE).

Computed properties:
Calculated formation energy   41 meV per atom
Raw total energy   -27.790 eV for the cell shown

Lattice parameters (Å, degrees): 2.869 2.869 14.128 90.00 90.00 120.00
Fractional positions:
1 Pt 0.000 0.000 0.000
2 Pt 0.333 0.667 0.667
3 Pt 0.667 0.333 0.333
4 Au 0.000 0.000 0.500
5 Au 0.333 0.667 0.167
6 Au 0.667 0.333 0.833

***

2.
Entry from the Materials Project database: an optimized crystal structure of K8Li31Al8O32 (PBE).

Computed properties:
Total energy after the MP2020 corrections   -445.37 eV/cell
Calculated formation energy   -2393 meV per atom
Raw total energy   -423.384 eV for the cell shown

Lattice parameters (Å, degrees): 5.633 10.758 15.311 90.19 90.05 100.30
Fractional positions:
1 K 0.000 0.000 0.000
2 K 0.001 0.563 0.228
3 K 0.243 0.889 0.361
4 K 0.261 0.453 0.596
5 K 0.484 0.493 0.094
6 K 0.510 0.079 0.885
7 K 0.747 0.384 0.732
8 K 0.759 0.956 0.496
9 Li 0.007 0.304 0.309
10 Li 0.025 0.252 0.868
11 Li 0.038 0.856 0.636
12 Li 0.107 0.770 0.874
13 Li 0.126 0.233 0.133
14 Li 0.142 0.222 0.449
15 Li 0.147 0.687 0.719
16 Li 0.210 0.597 0.956
17 Li 0.235 0.150 0.275
18 Li 0.238 0.204 0.728
19 Li 0.251 0.749 0.532
20 Li 0.309 0.999 0.170
21 Li 0.324 0.597 0.415
22 Li 0.425 0.354 0.917
23 Li 0.443 0.958 0.676
24 Li 0.512 0.808 0.781
25 Li 0.517 0.745 0.226
26 Li 0.537 0.354 0.458
27 Li 0.605 0.270 0.219
28 Li 0.607 0.729 0.952
29 Li 0.643 0.185 0.372
30 Li 0.644 0.725 0.641
31 Li 0.704 0.113 0.126
32 Li 0.733 0.707 0.367
33 Li 0.741 0.653 0.811
34 Li 0.750 0.248 0.561
35 Li 0.807 0.504 0.917
36 Li 0.824 0.098 0.679
37 Li 0.923 0.854 0.178
38 Li 0.942 0.453 0.420
39 Li 0.993 0.702 0.061
40 Al 0.307 0.525 0.810
41 Al 0.314 0.106 0.569
42 Al 0.434 0.837 0.073
43 Al 0.444 0.430 0.312
44 Al 0.802 0.026 0.276
45 Al 0.815 0.607 0.523
46 Al 0.919 0.351 0.021
47 Al 0.945 0.932 0.783
48 O 0.008 0.646 0.429
49 O 0.039 0.589 0.831
50 O 0.047 0.174 0.583
51 O 0.174 0.278 0.999
52 O 0.214 0.869 0.762
53 O 0.236 0.803 0.165
54 O 0.249 0.402 0.406
55 O 0.259 0.362 0.788
56 O 0.268 0.938 0.557
57 O 0.273 0.770 0.980
58 O 0.292 0.328 0.229
59 O 0.463 0.629 0.731
60 O 0.473 0.178 0.477
61 O 0.492 0.593 0.293
62 O 0.493 0.002 0.059
63 O 0.498 0.552 0.906
64 O 0.509 0.147 0.662
65 O 0.533 0.089 0.257
66 O 0.550 0.677 0.508
67 O 0.695 0.765 0.088
68 O 0.712 0.367 0.333
69 O 0.749 0.320 0.922
70 O 0.751 0.904 0.688
71 O 0.755 0.862 0.299
72 O 0.767 0.438 0.536
73 O 0.790 0.828 0.863
74 O 0.801 0.290 0.122
75 O 0.960 0.128 0.357
76 O 0.974 0.520 0.035
77 O 0.974 0.681 0.614
78 O 0.992 0.096 0.803
79 O 0.998 0.051 0.182

***

3.
Entry from the Materials Project database: an optimized crystal structure of FeCo2C6N6 (PBE).

Computed properties:
Total energy after the MP2020 corrections   -121.61 eV/cell
Calculated formation energy   431 meV per atom
Raw total energy   -119.443 eV for the cell shown

Lattice parameters (Å, degrees): 6.958 6.958 6.958 60.00 60.00 60.00
Fractional positions:
1 Fe 0.000 0.000 0.000
2 Co 0.250 0.250 0.250
3 Co 0.500 0.500 0.500
4 C 0.190 0.190 0.810
5 C 0.190 0.810 0.190
6 C 0.190 0.810 0.810
7 C 0.810 0.190 0.190
8 C 0.810 0.190 0.810
9 C 0.810 0.810 0.190
10 N 0.310 0.310 0.690
11 N 0.310 0.690 0.310
12 N 0.310 0.690 0.690
13 N 0.690 0.310 0.310
14 N 0.690 0.310 0.690
15 N 0.690 0.690 0.310

***

4.
Entry from the Materials Project database: an optimized crystal structure of CeRu3C (PBE).

Computed properties:
Calculated formation energy   -242 meV per atom
Raw total energy   -44.193 eV for the cell shown

Lattice parameters (Å, degrees): 4.186 4.186 4.186 90.00 90.00 90.00
Fractional positions:
1 Ce 0.000 0.000 0.000
2 Ru 0.000 0.500 0.500
3 Ru 0.500 0.000 0.500
4 Ru 0.500 0.500 0.000
5 C 0.500 0.500 0.500

***

5.
Entry from the Materials Project database: an optimized crystal structure of Sc6AgTe2 (PBE).

Computed properties:
Total energy after the MP2020 corrections   -213.43 eV/cell
Calculated formation energy   -694 meV per atom
Raw total energy   -210.059 eV for the cell shown

Lattice parameters (Å, degrees): 20.487 3.864 10.789 90.00 90.00 90.00
Fractional positions:
1 Sc 0.010 0.250 0.109
2 Sc 0.029 0.750 0.377
3 Sc 0.107 0.250 0.829
4 Sc 0.138 0.750 0.067
5 Sc 0.162 0.250 0.537
6 Sc 0.230 0.750 0.749
7 Sc 0.270 0.250 0.249
8 Sc 0.338 0.750 0.037
9 Sc 0.362 0.250 0.567
10 Sc 0.393 0.750 0.329
11 Sc 0.471 0.250 0.877
12 Sc 0.490 0.750 0.609
13 Sc 0.510 0.250 0.391
14 Sc 0.529 0.750 0.123
15 Sc 0.607 0.250 0.671
16 Sc 0.638 0.750 0.433
17 Sc 0.662 0.250 0.963
18 Sc 0.730 0.750 0.751
19 Sc 0.770 0.250 0.251
20 Sc 0.838 0.750 0.463
21 Sc 0.862 0.250 0.933
22 Sc 0.893 0.750 0.171
23 Sc 0.971 0.250 0.623
24 Sc 0.990 0.750 0.891
25 Ag 0.076 0.750 0.642
26 Ag 0.424 0.250 0.142
27 Ag 0.576 0.750 0.858
28 Ag 0.924 0.250 0.358
29 Te 0.127 0.250 0.274
30 Te 0.235 0.250 0.965
31 Te 0.265 0.750 0.465
32 Te 0.373 0.750 0.774
33 Te 0.627 0.250 0.226
34 Te 0.735 0.250 0.535
35 Te 0.765 0.750 0.035
36 Te 0.873 0.750 0.726

***

6.
Entry from the Materials Project database: an optimized crystal structure of Rb2GeF6 (PBE).

Computed properties:
Total energy after the MP2020 corrections   -90.85 eV/cell
Calculated formation energy   -3039 meV per atom
ΔE to the lowest computed polymorph   0.0033 eV per atom
Raw total energy   -85.307 eV for the cell shown

Lattice parameters (Å, degrees): 6.080 6.080 9.900 90.00 90.00 120.00
Fractional positions:
1 Rb 0.000 0.000 0.000
2 Rb 0.000 0.000 0.500
3 Rb 0.333 0.667 0.277
4 Rb 0.667 0.333 0.777
5 Ge 0.333 0.667 0.661
6 Ge 0.667 0.333 0.161
7 F 0.050 0.525 0.553
8 F 0.188 0.377 0.765
9 F 0.188 0.812 0.765
10 F 0.377 0.188 0.265
11 F 0.475 0.525 0.553
12 F 0.475 0.950 0.553
13 F 0.525 0.050 0.053
14 F 0.525 0.475 0.053
15 F 0.623 0.812 0.765
16 F 0.812 0.188 0.265
17 F 0.812 0.623 0.265
18 F 0.950 0.475 0.053

***

7.
Entry from the Materials Project database: an optimized crystal structure of Rb2B10H25N5 (PBE).

Computed properties:
Total energy after the MP2020 corrections   -841.28 eV/cell
Calculated formation energy   -359 meV per atom
Raw total energy   -834.060 eV for the cell shown

Lattice parameters (Å, degrees): 14.445 9.093 14.444 90.00 90.00 90.00
Fractional positions:
1 Rb 0.071 0.013 0.158
2 Rb 0.071 0.487 0.158
3 Rb 0.429 0.513 0.658
4 Rb 0.429 0.987 0.658
5 Rb 0.571 0.013 0.342
6 Rb 0.571 0.487 0.342
7 Rb 0.929 0.513 0.842
8 Rb 0.929 0.987 0.842
9 B 0.088 0.250 0.961
10 B 0.114 0.250 0.846
11 B 0.156 0.108 0.925
12 B 0.156 0.392 0.925
13 B 0.185 0.750 0.340
14 B 0.198 0.250 0.004
15 B 0.218 0.149 0.820
16 B 0.218 0.351 0.820
17 B 0.222 0.649 0.432
18 B 0.222 0.851 0.432
19 B 0.278 0.149 0.932
20 B 0.278 0.351 0.932
21 B 0.282 0.649 0.320
22 B 0.282 0.851 0.320
23 B 0.302 0.750 0.504
24 B 0.315 0.250 0.840
25 B 0.344 0.608 0.425
26 B 0.344 0.892 0.425
27 B 0.386 0.750 0.346
28 B 0.412 0.750 0.461
29 B 0.588 0.250 0.539
30 B 0.614 0.250 0.654
31 B 0.656 0.108 0.575
32 B 0.656 0.392 0.575
33 B 0.685 0.750 0.160
34 B 0.698 0.250 0.496
35 B 0.718 0.149 0.680
36 B 0.718 0.351 0.680
37 B 0.722 0.649 0.068
38 B 0.722 0.851 0.068
39 B 0.778 0.149 0.568
40 B 0.778 0.351 0.568
41 B 0.782 0.649 0.180
42 B 0.782 0.851 0.180
43 B 0.802 0.750 0.996
44 B 0.815 0.250 0.660
45 B 0.844 0.608 0.075
46 B 0.844 0.892 0.075
47 B 0.886 0.750 0.154
48 B 0.912 0.750 0.039
49 H 0.014 0.250 0.999
50 H 0.024 0.562 0.389
51 H 0.024 0.938 0.389
52 H 0.052 0.250 0.790
53 H 0.064 0.547 0.588
54 H 0.064 0.953 0.588
55 H 0.077 0.087 0.662
56 H 0.077 0.413 0.662
57 H 0.087 0.661 0.752
58 H 0.087 0.839 0.752
59 H 0.095 0.250 0.350
60 H 0.111 0.750 0.301
61 H 0.128 0.750 0.843
62 H 0.131 0.517 0.938
63 H 0.131 0.983 0.938
64 H 0.171 0.560 0.468
65 H 0.171 0.940 0.468
66 H 0.191 0.160 0.330
67 H 0.191 0.340 0.330
68 H 0.211 0.250 0.087
69 H 0.216 0.061 0.758
70 H 0.216 0.439 0.758
71 H 0.234 0.660 0.041
72 H 0.234 0.840 0.041
73 H 0.244 0.250 0.638
74 H 0.256 0.750 0.138
75 H 0.266 0.160 0.541
76 H 0.266 0.340 0.541
77 H 0.284 0.561 0.258
78 H 0.284 0.939 0.258
79 H 0.289 0.750 0.587
80 H 0.309 0.660 0.830
81 H 0.309 0.840 0.830
82 H 0.329 0.060 0.968
83 H 0.329 0.440 0.968
84 H 0.369 0.017 0.438
85 H 0.369 0.483 0.438
86 H 0.372 0.250 0.343
87 H 0.389 0.250 0.801
88 H 0.405 0.750 0.850
89 H 0.413 0.161 0.252
90 H 0.413 0.339 0.252
91 H 0.423 0.587 0.162
92 H 0.423 0.913 0.162
93 H 0.436 0.047 0.088
94 H 0.436 0.453 0.088
95 H 0.448 0.750 0.290
96 H 0.476 0.062 0.889
97 H 0.476 0.438 0.889
98 H 0.486 0.750 0.499
99 H 0.514 0.250 0.501
100 H 0.524 0.562 0.111
101 H 0.524 0.938 0.111
102 H 0.552 0.250 0.710
103 H 0.564 0.547 0.912
104 H 0.564 0.953 0.912
105 H 0.577 0.087 0.838
106 H 0.577 0.413 0.838
107 H 0.587 0.661 0.748
108 H 0.587 0.839 0.748
109 H 0.595 0.250 0.150
110 H 0.611 0.750 0.199
111 H 0.628 0.750 0.657
112 H 0.631 0.517 0.562
113 H 0.631 0.983 0.562
114 H 0.671 0.560 0.032
115 H 0.671 0.940 0.032
116 H 0.691 0.160 0.170
117 H 0.691 0.340 0.170
118 H 0.711 0.250 0.413
119 H 0.716 0.061 0.742
120 H 0.716 0.439 0.742
121 H 0.734 0.660 0.459
122 H 0.734 0.840 0.459
123 H 0.744 0.250 0.862
124 H 0.756 0.750 0.362
125 H 0.766 0.160 0.959
126 H 0.766 0.340 0.959
127 H 0.784 0.561 0.242
128 H 0.784 0.939 0.242
129 H 0.789 0.750 0.913
130 H 0.809 0.660 0.670
131 H 0.809 0.840 0.670
132 H 0.829 0.060 0.532
133 H 0.829 0.440 0.532
134 H 0.869 0.017 0.062
135 H 0.869 0.483 0.062
136 H 0.872 0.250 0.157
137 H 0.889 0.250 0.699
138 H 0.905 0.750 0.650
139 H 0.913 0.161 0.248
140 H 0.913 0.339 0.248
141 H 0.923 0.587 0.338
142 H 0.923 0.913 0.338
143 H 0.936 0.047 0.412
144 H 0.936 0.453 0.412
145 H 0.948 0.750 0.210
146 H 0.976 0.062 0.611
147 H 0.976 0.438 0.611
148 H 0.986 0.750 0.001
149 N 0.032 0.008 0.640
150 N 0.032 0.492 0.640
151 N 0.077 0.750 0.794
152 N 0.153 0.250 0.310
153 N 0.215 0.750 0.080
154 N 0.285 0.250 0.580
155 N 0.347 0.750 0.810
156 N 0.423 0.250 0.294
157 N 0.468 0.508 0.140
158 N 0.468 0.992 0.140
159 N 0.532 0.008 0.860
160 N 0.532 0.492 0.860
161 N 0.577 0.750 0.706
162 N 0.653 0.250 0.190
163 N 0.715 0.750 0.420
164 N 0.785 0.250 0.920
165 N 0.847 0.750 0.690
166 N 0.923 0.250 0.206
167 N 0.968 0.508 0.360
168 N 0.968 0.992 0.360

***

8.
Entry from the Materials Project database: an optimized crystal structure of DyScRu2 (PBE).

Computed properties:
Calculated formation energy   -418 meV per atom
Raw total energy   -124.644 eV for the cell shown

Lattice parameters (Å, degrees): 6.609 6.609 6.609 90.00 90.00 90.00
Fractional positions:
1 Dy 0.000 0.000 0.000
2 Dy 0.000 0.500 0.500
3 Dy 0.500 0.000 0.500
4 Dy 0.500 0.500 0.000
5 Sc 0.000 0.000 0.500
6 Sc 0.000 0.500 0.000
7 Sc 0.500 0.000 0.000
8 Sc 0.500 0.500 0.500
9 Ru 0.250 0.250 0.250
10 Ru 0.250 0.250 0.750
11 Ru 0.250 0.750 0.250
12 Ru 0.250 0.750 0.750
13 Ru 0.750 0.250 0.250
14 Ru 0.750 0.250 0.750
15 Ru 0.750 0.750 0.250
16 Ru 0.750 0.750 0.750

***

9.
Entry from the Materials Project database: an optimized crystal structure of TbSbRh (PBE).

Computed properties:
Calculated formation energy   -1007 meV per atom
Raw total energy   -76.593 eV for the cell shown

Lattice parameters (Å, degrees): 7.202 4.575 7.882 90.00 90.00 90.00
Fractional positions:
1 Tb 0.008 0.250 0.202
2 Tb 0.492 0.750 0.702
3 Tb 0.508 0.250 0.298
4 Tb 0.992 0.750 0.798
5 Sb 0.195 0.250 0.592
6 Sb 0.305 0.750 0.092
7 Sb 0.695 0.250 0.908
8 Sb 0.805 0.750 0.408
9 Rh 0.194 0.750 0.418
10 Rh 0.306 0.250 0.918
11 Rh 0.694 0.750 0.082
12 Rh 0.806 0.250 0.582